Entry from Materials Project: crystalline Ga2SiSn2S5O24 at its relaxed geometry (PBE-GGA).

```
Ga2SiSn2S5O24
1.0
8.639 -0.015 0.025
-4.332 7.503 0.021
0.063 0.098 22.470
Ga Si Sn S O
6 3 6 15 72
Cartesian
4.249 7.521 8.043 Ga
0.067 0.094 19.164 Ga
4.442 2.586 15.445 Ga
4.240 2.524 4.174 Ga
4.308 2.566 22.065 Ga
0.032 5.066 18.311 Ga
6.850 2.575 13.205 Si
1.892 2.511 1.882 Si
1.309 7.215 9.379 Si
8.634 0.078 14.571 Sn
0.038 0.064 3.251 Sn
4.436 2.451 10.780 Sn
0.028 4.960 0.487 Sn
0.039 5.047 11.731 Sn
0.035 5.060 7.067 Sn
2.516 0.042 5.662 S
3.128 5.312 5.641 S
7.335 2.210 5.659 S
1.339 2.285 16.914 S
5.616 5.377 16.944 S
1.802 7.551 16.967 S
3.103 0.394 13.188 S
3.119 4.681 13.178 S
5.543 4.627 1.906 S
5.550 0.368 1.889 S
2.599 5.098 20.558 S
-1.241 2.878 20.564 S
-1.210 7.270 20.582 S
1.290 2.800 9.360 S
-2.537 5.087 9.336 S
1.656 0.256 6.844 O
3.724 5.957 6.822 O
7.584 1.374 6.847 O
1.130 1.402 18.096 O
4.975 6.030 18.115 O
7.022 0.313 18.104 O
2.610 7.230 15.743 O
0.672 1.714 15.700 O
-3.178 6.244 15.679 O
3.265 6.173 4.412 O
-0.637 1.669 4.418 O
-2.632 7.260 4.460 O
5.956 2.840 14.519 O
3.684 1.021 14.383 O
3.313 3.848 14.381 O
5.402 3.810 3.124 O
4.987 0.949 3.118 O
2.734 2.784 3.232 O
2.743 2.226 0.537 O
4.979 4.041 0.677 O
5.406 1.189 0.669 O
3.202 1.217 11.953 O
3.688 4.119 11.927 O
6.019 2.274 11.850 O
1.787 5.416 21.781 O
-0.574 3.448 21.779 O
-1.054 6.416 21.822 O
1.109 6.288 10.716 O
0.620 3.360 10.553 O
-1.726 5.317 10.549 O
-1.714 4.726 8.140 O
0.562 6.603 8.058 O
1.110 3.640 8.134 O
-1.034 3.759 19.381 O
-0.571 6.620 19.407 O
1.713 4.834 19.395 O
-3.297 6.315 9.117 O
2.896 7.330 9.188 O
0.726 1.470 9.139 O
-0.614 1.552 20.355 O
-2.673 7.401 20.395 O
3.430 6.311 20.367 O
7.792 1.247 13.313 O
1.639 0.199 13.322 O
3.779 6.005 13.329 O
4.886 5.951 2.067 O
7.015 0.154 2.041 O
0.923 1.197 1.995 O
5.286 1.232 16.749 O
2.793 2.401 16.689 O
4.957 4.074 16.772 O
3.774 4.007 5.485 O
5.890 2.346 5.439 O
3.384 1.210 5.499 O
3.449 3.914 20.751 O
5.941 2.747 20.816 O
3.778 1.072 20.735 O
4.872 1.135 9.439 O
2.748 2.757 9.553 O
5.200 3.919 9.504 O
0.916 3.823 1.752 O
-1.628 4.853 1.734 O
0.559 6.548 1.743 O
-0.583 6.589 13.055 O
1.663 4.846 13.067 O
-0.851 3.908 12.997 O
-1.000 6.298 5.771 O
1.649 5.154 5.745 O
-0.666 3.575 5.799 O
0.710 3.611 17.120 O
-1.559 5.263 17.101 O
0.972 6.339 17.153 O
```

Results
Space group ... P1
Final energy ... -6.172 eV/atom
ΔE_f ... -6502 kJ/mol of formula units

Entry from Materials Project: crystalline TaGaSiS2O12 at its relaxed geometry (PBE-GGA).

```
TaGaSiS2O12
1.0
8.679 0.000 0.000
-4.340 7.567 0.053
0.000 0.156 22.492
Ta Ga Si S O
6 6 6 12 72
Cartesian
-0.017 0.228 14.438 Ta
0.017 0.150 3.192 Ta
4.268 2.619 21.932 Ta
4.412 2.541 10.686 Ta
-0.005 5.105 6.974 Ta
0.005 5.183 18.220 Ta
8.438 0.138 8.006 Ga
0.241 0.216 19.252 Ga
4.361 2.690 15.467 Ga
4.319 2.612 4.221 Ga
-0.039 5.015 0.539 Ga
0.039 5.093 11.785 Ga
7.302 2.204 5.633 Si
1.377 2.282 16.879 Si
6.799 2.774 13.182 Si
1.880 2.697 1.936 Si
-1.288 7.232 20.734 Si
1.288 7.154 9.487 Si
2.442 0.070 5.666 S
3.152 5.418 5.684 S
5.527 5.496 16.930 S
6.237 0.148 16.912 S
3.130 0.418 13.131 S
3.082 4.784 13.163 S
5.597 4.706 1.917 S
5.549 0.340 1.885 S
2.518 5.268 20.629 S
-1.215 2.978 20.649 S
1.215 2.900 9.403 S
-2.518 5.190 9.383 S
1.624 0.219 6.858 O
3.750 6.013 6.881 O
7.627 1.309 6.909 O
1.052 1.387 18.155 O
4.929 6.091 18.127 O
7.055 0.297 18.104 O
2.738 7.428 15.742 O
0.616 1.563 15.558 O
-3.342 6.336 15.719 O
3.342 6.258 4.473 O
-0.616 1.485 4.311 O
-2.738 7.350 4.496 O
5.896 2.912 14.491 O
3.702 1.030 14.318 O
3.281 3.958 14.360 O
5.398 3.880 3.114 O
4.978 0.952 3.072 O
2.783 2.835 3.245 O
2.839 2.377 0.609 O
4.985 4.089 0.706 O
5.407 1.236 0.676 O
3.272 1.314 11.922 O
3.695 4.167 11.952 O
5.841 2.455 11.855 O
1.735 5.450 21.834 O
-0.573 3.533 21.834 O
-0.919 6.383 22.027 O
0.919 6.305 10.781 O
0.573 3.455 10.588 O
-1.735 5.372 10.587 O
-1.661 4.842 8.190 O
0.571 6.499 8.145 O
0.995 3.774 8.196 O
-0.995 3.851 19.442 O
-0.571 6.577 19.391 O
1.661 4.920 19.436 O
-3.341 6.356 9.102 O
2.863 7.349 9.331 O
0.759 1.539 9.156 O
-0.759 1.617 20.402 O
-2.863 7.427 20.577 O
3.341 6.433 20.348 O
7.677 1.354 13.356 O
1.623 0.274 13.279 O
3.753 6.117 13.369 O
4.927 6.039 2.123 O
7.057 0.196 2.033 O
1.002 1.276 2.110 O
5.358 1.279 16.705 O
2.921 2.464 16.555 O
5.013 4.147 16.764 O
3.666 4.069 5.518 O
5.759 2.386 5.309 O
3.321 1.201 5.459 O
3.417 4.045 20.787 O
5.974 2.961 20.833 O
3.783 1.181 20.876 O
4.896 1.104 9.630 O
2.705 2.883 9.586 O
5.262 3.967 9.541 O
0.888 3.896 1.624 O
-1.647 4.899 1.759 O
0.661 6.585 1.725 O
-0.661 6.663 12.971 O
1.647 4.977 13.005 O
-0.888 3.974 12.870 O
-1.054 6.375 5.840 O
1.637 5.320 5.852 O
-0.645 3.672 5.902 O
0.645 3.749 17.148 O
-1.637 5.398 17.098 O
1.054 6.453 17.086 O
```

Results
Space group ... Cc
Final energy ... -7.084 eV/atom
ΔE_f ... -3929 kJ/mol of formula units

Entry from Materials Project: crystalline TaGa3SiS5O24 at its relaxed geometry (PBE-GGA).

```
TaGa3SiS5O24
1.0
8.560 -0.009 0.006
-4.288 7.447 -0.014
0.014 -0.034 22.246
Ta Ga Si S O
3 9 3 15 72
Cartesian
4.315 2.482 21.699 Ta
-0.033 4.995 6.837 Ta
0.016 4.864 18.062 Ta
0.082 0.021 7.798 Ga
4.215 7.405 19.104 Ga
4.279 7.406 14.366 Ga
-4.202 7.416 3.183 Ga
4.297 2.460 15.256 Ga
4.226 2.385 4.137 Ga
4.273 2.458 10.699 Ga
0.081 4.887 0.422 Ga
0.010 4.933 11.588 Ga
2.390 0.126 5.510 Si
2.466 5.005 20.452 Si
-1.136 2.755 20.450 Si
3.107 5.287 5.540 S
7.285 2.083 5.553 S
1.277 2.067 16.638 S
5.479 5.272 16.635 S
6.095 0.016 16.630 S
6.772 2.448 12.971 S
3.044 0.296 12.974 S
3.045 4.619 12.971 S
5.530 4.631 1.906 S
5.544 0.273 1.890 S
1.770 2.484 1.886 S
-1.259 7.043 20.405 S
1.269 7.119 9.289 S
1.248 2.779 9.310 S
-2.503 4.941 9.312 S
1.609 0.270 6.913 O
3.635 5.865 6.789 O
7.460 1.295 6.788 O
1.077 1.268 17.834 O
4.895 5.857 17.834 O
6.903 0.251 17.821 O
2.618 7.175 15.407 O
0.626 1.523 15.426 O
-3.257 6.111 15.412 O
3.171 6.144 4.360 O
-0.608 1.566 4.361 O
-2.756 7.110 4.224 O
5.941 2.717 14.176 O
3.687 0.884 14.178 O
3.227 3.763 14.172 O
5.299 3.776 3.092 O
4.937 0.901 3.084 O
2.617 2.731 3.074 O
2.638 2.234 0.692 O
4.897 3.965 0.689 O
5.312 1.144 0.687 O
3.230 1.143 11.767 O
3.685 4.036 11.762 O
5.943 2.190 11.764 O
1.589 5.280 21.737 O
-0.595 3.448 21.758 O
-1.069 6.254 21.607 O
1.059 6.264 10.481 O
0.624 3.400 10.511 O
-1.645 5.194 10.495 O
-1.625 4.704 8.107 O
0.623 6.471 8.087 O
1.031 3.636 8.109 O
-1.035 3.741 19.080 O
-0.584 6.477 19.169 O
1.538 4.687 19.085 O
-3.358 6.113 9.115 O
2.713 7.245 9.045 O
0.602 1.467 9.151 O
-0.485 1.372 20.119 O
-2.659 7.225 20.144 O
3.486 6.146 20.125 O
7.619 1.253 13.166 O
1.584 0.163 13.166 O
3.656 5.952 13.155 O
4.825 5.919 1.977 O
7.010 0.174 2.064 O
0.936 1.277 2.000 O
5.229 1.204 16.442 O
2.731 2.270 16.454 O
4.902 3.916 16.458 O
3.676 3.962 5.366 O
5.867 2.346 5.379 O
3.452 1.307 5.362 O
3.315 3.598 20.624 O
5.792 2.597 20.610 O
3.685 0.931 20.577 O
4.907 0.987 9.462 O
2.716 2.662 9.477 O
5.256 3.699 9.467 O
0.946 3.684 1.755 O
-1.596 4.802 1.703 O
0.604 6.421 1.704 O
-0.625 6.408 12.768 O
1.580 4.752 12.783 O
-0.949 3.665 12.779 O
-0.927 6.186 5.807 O
1.600 5.115 5.787 O
-0.600 3.448 5.792 O
0.646 3.435 16.781 O
-1.598 5.154 16.779 O
0.927 6.268 16.789 O
```

Results
Space group ... P1
Final energy ... -6.541 eV/atom
ΔE_f ... -7050 kJ/mol of formula units

Entry from Materials Project: crystalline Ti2Ga2SiS5O24 at its relaxed geometry (PBE-GGA).

```
Ti2Ga2SiS5O24
1.0
-4.582 -6.849 2.289
3.334 0.479 -7.889
18.399 -9.995 7.162
Ti Ga Si S O
6 6 3 15 72
Cartesian
7.279 -13.261 6.843 Ti
2.618 -1.478 0.972 Ti
6.761 -9.243 2.423 Ti
1.092 -2.206 -4.267 Ti
10.282 -7.212 -0.749 Ti
6.457 -5.162 -2.316 Ti
5.302 -9.879 -3.069 Ga
19.015 -8.053 -1.768 Ga
10.659 -11.311 3.798 Ga
1.506 -6.228 0.192 Ga
16.122 -14.150 5.925 Ga
15.670 -10.086 1.315 Ga
7.511 -12.238 3.711 Si
0.872 -3.324 -1.152 Si
7.976 -8.027 -3.113 Si
3.293 -4.489 2.438 S
3.694 -7.043 -2.170 S
0.996 -9.187 1.782 S
13.441 -9.363 3.743 S
11.594 -14.011 2.070 S
13.909 -11.879 -0.886 S
9.160 -8.413 4.694 S
9.752 -10.105 0.817 S
-0.769 -7.066 -2.116 S
-1.367 -5.373 1.757 S
16.203 -13.112 2.726 S
17.919 -9.256 3.696 S
18.518 -10.980 -0.228 S
7.388 -6.260 0.780 S
9.686 -4.150 -2.199 S
4.770 -4.449 2.400 O
4.450 -8.307 -2.167 O
1.750 -9.562 2.990 O
14.427 -9.401 4.852 O
13.021 -14.289 1.739 O
11.143 -13.676 7.387 O
12.408 -11.934 -0.825 O
12.697 -8.060 3.757 O
15.418 -6.789 -1.446 O
2.725 -6.990 -3.287 O
4.142 -2.064 -0.150 O
6.045 -2.687 -5.832 O
9.088 -12.191 3.675 O
9.915 -9.672 4.724 O
10.563 -10.450 1.997 O
0.200 -7.167 -1.012 O
0.047 -5.655 1.476 O
1.583 -4.687 -0.759 O
-0.711 -3.261 -1.098 O
-1.525 -5.807 -2.157 O
-2.178 -5.042 0.575 O
8.187 -8.342 3.581 O
8.346 -9.819 1.117 O
6.858 -10.789 3.301 O
17.705 -13.058 2.666 O
18.664 -10.560 3.684 O
19.276 -11.355 0.997 O
9.087 -7.938 -1.934 O
8.814 -6.527 0.445 O
10.259 -5.445 -1.779 O
8.190 -4.174 -2.108 O
7.201 -6.549 -3.084 O
6.637 -5.870 -0.461 O
16.934 -9.221 2.588 O
17.091 -10.702 0.103 O
15.637 -11.795 2.343 O
10.133 -3.880 -3.558 O
6.974 -9.215 -2.914 O
7.368 -5.171 1.752 O
17.253 -9.162 5.010 O
19.178 -9.776 -0.790 O
15.804 -14.183 1.789 O
6.998 -12.566 5.251 O
10.078 -7.259 4.505 O
9.782 -11.211 -0.181 O
-0.090 -7.210 -3.428 O
-2.009 -6.565 2.375 O
1.455 -2.115 -0.170 O
11.039 -12.065 5.644 O
12.501 -10.482 3.951 O
11.614 -12.913 3.044 O
3.059 -6.925 -0.857 O
1.614 -7.980 1.204 O
2.839 -5.567 1.567 O
15.740 -13.407 4.085 O
14.281 -14.989 5.780 O
15.163 -12.560 6.687 O
5.415 -8.540 3.338 O
6.762 -7.466 1.312 O
5.541 -9.922 0.999 O
1.381 -2.892 -2.675 O
2.887 -1.367 -4.240 O
1.935 -3.793 -5.137 O
11.834 -7.783 -1.889 O
10.411 -8.924 0.220 O
11.488 -6.512 0.438 O
6.142 -4.251 -4.059 O
4.623 -5.882 -2.376 O
5.574 -3.446 -1.480 O
14.108 -9.459 2.431 O
15.517 -8.366 0.341 O
14.309 -10.810 0.052 O
```

Results
Space group ... P1
Final energy ... -6.696 eV/atom
ΔE_f ... -7471 kJ/mol of formula units